A plane-wave DFT calculation with PBE+U was carried out for Na3MgCo2SbO6 after structural relaxation.

Lattice parameters (Å, degrees): 5.7724 6.2384 6.3249 60.51 88.74 87.20
Last column: nearest neighbours and their distance in Å.
Atoms (fractional coordinates):
1 Na 0.0000 0.0000 0.0000  5 O 2.37-2.57
2 Na 0.0011 0.4301 0.1412  5 O 2.37-2.56
3 Na 0.7160 0.4358 0.5712  4 O 2.25-2.43
4 Mg 0.9525 0.8994 0.5694  4 O 1.91-2.12
5 Co 0.5432 0.5758 0.9440  4 O 1.94-2.15
6 Co 0.5429 0.9489 0.1985  4 O 1.94-2.15
7 Sb 0.3637 0.0725 0.5717  4 O 2.05-2.26
8 O 0.0299 0.2071 0.5708  1 Mg 2.00, 1 Sb 2.06
9 O 0.2227 0.0118 0.3112  1 Sb 2.05, 1 Co 2.06, 1 Mg 2.11
10 O 0.2225 0.7520 0.8301  1 Sb 2.05, 1 Co 2.06, 1 Mg 2.12
11 O 0.6418 0.8040 0.5717  1 Mg 1.91
12 O 0.6861 0.2622 0.0079  2 Co 1.94
13 O 0.6858 0.6986 0.1355  2 Co 1.94

Volume ... 15.232 Å³/atom
Symmetry ... No. 1
Energy above the lowest structure with this stoichiometry ... 0.413 eV per formula unit
Magnetization ... 6.00 μB/cell

=====

A plane-wave DFT calculation with PBE+U was carried out for Mg14NbCoO16 after structural relaxation.

Lattice parameters (Å, degrees): 4.2691 8.6236 8.6551 90.00 90.00 90.00
Last column: nearest neighbours and their distance in Å.
Atoms (fractional coordinates):
1 Mg 0.0000 0.0000 0.0000  6 O 2.04-2.18
2 Mg 0.0000 0.0000 0.5000  6 O 2.10-2.14
3 Mg 0.0000 0.2492 0.2417  6 O 2.10-2.24
4 Mg 0.0000 0.2492 0.7583  6 O 2.10-2.24
5 Mg 0.0000 0.7508 0.2417  6 O 2.10-2.24
6 Mg 0.0000 0.7508 0.7583  6 O 2.10-2.24
7 Mg 0.5000 0.0000 0.2466  6 O 2.13-2.19
8 Mg 0.5000 0.0000 0.7534  6 O 2.13-2.19
9 Mg 0.5000 0.2419 0.5000  6 O 2.09-2.23
10 Mg 0.5000 0.2527 0.0000  6 O 2.13-2.18
11 Mg 0.5000 0.5000 0.2345  5 O 2.03-2.15
12 Mg 0.5000 0.5000 0.7655  5 O 2.03-2.15
13 Mg 0.5000 0.7473 0.0000  6 O 2.13-2.18
14 Mg 0.5000 0.7581 0.5000  6 O 2.09-2.23
15 Nb 0.0000 0.5000 0.5000  6 O 2.13-2.21
16 Co 0.0000 0.5000 0.0000  6 O 2.13-2.27
17 O 0.0000 0.0000 0.2524  6 Mg 2.14-2.18
18 O 0.0000 0.0000 0.7476  6 Mg 2.14-2.18
19 O 0.0000 0.2363 0.0000  5 Mg 2.04-2.14, 1 Co 2.27
20 O 0.0000 0.2432 0.5000  5 Mg 2.10-2.24, 1 Nb 2.21
21 O 0.0000 0.5000 0.2524  4 Mg 2.14-2.16, 1 Nb 2.14, 1 Co 2.18
22 O 0.0000 0.5000 0.7476  4 Mg 2.14-2.16, 1 Nb 2.14, 1 Co 2.18
23 O 0.0000 0.7568 0.5000  5 Mg 2.10-2.24, 1 Nb 2.21
24 O 0.0000 0.7637 0.0000  5 Mg 2.04-2.14, 1 Co 2.27
25 O 0.5000 0.0000 0.0000  6 Mg 2.13-2.18
26 O 0.5000 0.0000 0.5000  6 Mg 2.09-2.19
27 O 0.5000 0.2517 0.2513  6 Mg 2.14-2.17
28 O 0.5000 0.2517 0.7487  6 Mg 2.14-2.17
29 O 0.5000 0.5000 0.0000  4 Mg 2.03-2.13, 2 Co 2.13
30 O 0.5000 0.5000 0.5000  2 Nb 2.13, 4 Mg 2.23-2.30
31 O 0.5000 0.7483 0.2513  6 Mg 2.14-2.17
32 O 0.5000 0.7483 0.7487  6 Mg 2.14-2.17

Volume ... 9.957 Å³/atom
Symmetry ... No. 47
Magnetization ... 4.15 μB/cell

=====

no.,formation energy (eV/atom)
1,-1.6392
2,-2.8049